MgTi8Ni8O24 after structural relaxation, computed with GGA+U.

a = 5.6205 Å, b = 9.0720 Å, c = 9.1542 Å
α = 67.91°, β = 83.96°, γ = 84.36°
Space group P1 (No. 1)
Asymmetric unit:
Mg (0.0000, 0.0000, 0.0000) x1
Ti (0.0247, 0.7556, 0.7525) x1
Ti (0.0789, 0.2728, 0.2669) x1
Ti (0.1572, 0.4193, 0.8999) x1
Ti (0.4077, 0.8436, 0.8579) x1
Ti (0.5614, 0.7794, 0.2540) x1
Ti (0.5654, 0.0148, 0.5006) x1
Ti (0.5839, 0.2492, 0.7649) x1
Ti (0.6471, 0.4240, 0.4060) x1
Ni (0.0565, 0.5127, 0.5127) x1
Ni (0.1580, 0.9061, 0.4148) x1
Ni (0.1607, 0.6600, 0.1689) x1
Ni (0.1625, 0.1715, 0.6552) x1
Ni (0.3616, 0.0851, 0.0772) x1
Ni (0.5630, 0.5030, 0.0176) x1
Ni (0.6518, 0.6525, 0.6528) x1
Ni (0.6932, 0.1735, 0.1715) x1
O (0.0128, 0.7073, 0.5671) x1
O (0.0182, 0.3172, 0.4493) x1
O (0.0322, 0.2206, 0.0611) x1
O (0.0682, 0.8032, 0.9433) x1
O (0.2096, 0.3682, 0.7222) x1
O (0.2125, 0.4524, 0.1207) x1
O (0.2182, 0.8668, 0.2075) x1
O (0.2272, 0.9484, 0.6324) x1
O (0.3510, 0.6247, 0.8128) x1
O (0.3569, 0.1266, 0.3226) x1
O (0.3631, 0.0518, 0.8525) x1
O (0.3708, 0.5544, 0.3662) x1
O (0.5172, 0.3027, 0.9529) x1
O (0.5203, 0.7166, 0.0528) x1
O (0.5209, 0.8163, 0.4494) x1
O (0.5251, 0.2150, 0.5519) x1
O (0.6882, 0.8648, 0.7054) x1
O (0.6967, 0.4470, 0.6140) x1
O (0.6989, 0.9643, 0.1350) x1
O (0.7229, 0.3694, 0.2229) x1
O (0.8326, 0.6220, 0.3073) x1
O (0.8575, 0.0618, 0.3805) x1
O (0.8588, 0.1350, 0.7967) x1
O (0.8636, 0.5492, 0.8690) x1

Computed properties:
magnetic moment = 14.0 μB per cell

MgTi8Ni8O24 after structural relaxation, computed with GGA+U.

a = 5.5818 Å, b = 9.1000 Å, c = 9.1074 Å
α = 67.82°, β = 84.00°, γ = 83.68°
Space group P1 (No. 1)
Asymmetric unit:
Mg (0.0000, 0.0000, 0.0000) x1
Ti (0.1971, 0.1917, 0.6674) x1
Ti (0.2090, 0.4304, 0.9188) x1
Ti (0.2135, 0.6678, 0.1859) x1
Ti (0.2891, 0.8230, 0.8060) x1
Ti (0.3040, 0.3186, 0.3238) x1
Ti (0.7138, 0.6720, 0.6754) x1
Ti (0.7234, 0.1902, 0.1733) x1
Ti (0.7863, 0.8193, 0.3359) x1
Ni (0.2000, 0.9279, 0.4197) x1
Ni (0.3041, 0.5758, 0.5714) x1
Ni (0.3495, 0.0805, 0.0841) x1
Ni (0.6528, 0.9202, 0.9141) x1
Ni (0.7131, 0.4217, 0.4252) x1
Ni (0.7962, 0.3263, 0.8204) x1
Ni (0.7975, 0.0745, 0.5776) x1
Ni (0.8031, 0.5834, 0.0731) x1
O (0.0003, 0.9646, 0.7892) x1
O (0.0015, 0.0360, 0.2117) x1
O (0.0268, 0.4752, 0.2732) x1
O (0.1545, 0.7234, 0.3644) x1
O (0.1568, 0.6281, 0.9625) x1
O (0.1643, 0.1358, 0.4636) x1
O (0.1668, 0.2132, 0.8732) x1
O (0.3213, 0.8699, 0.0323) x1
O (0.3481, 0.7779, 0.6253) x1
O (0.3490, 0.3666, 0.5289) x1
O (0.3645, 0.2880, 0.1199) x1
O (0.4677, 0.0276, 0.7151) x1
O (0.4892, 0.4713, 0.7827) x1
O (0.4939, 0.5340, 0.2223) x1
O (0.5236, 0.9712, 0.2844) x1
O (0.6325, 0.7213, 0.8637) x1
O (0.6585, 0.2237, 0.3658) x1
O (0.6628, 0.6270, 0.4727) x1
O (0.6778, 0.1190, 0.9768) x1
O (0.8497, 0.8656, 0.5290) x1
O (0.8505, 0.7869, 0.1296) x1
O (0.8639, 0.2719, 0.6244) x1
O (0.8636, 0.3711, 0.0353) x1
O (0.9952, 0.5334, 0.7264) x1

Computed properties:
magnetic moment = 11.8 μB per cell

MgTi8Ni8O24 after structural relaxation, computed with GGA+U.

a = 5.5993 Å, b = 9.0712 Å, c = 9.0935 Å
α = 69.07°, β = 84.32°, γ = 84.22°
Space group P1 (No. 1)
Asymmetric unit:
Mg (0.0000, 0.0000, 0.0000) x1
Ti (0.0513, 0.7416, 0.7866) x1
Ti (0.1227, 0.2472, 0.2738) x1
Ti (0.1842, 0.8831, 0.4386) x1
Ti (0.4351, 0.8351, 0.8673) x1
Ti (0.5917, 0.2473, 0.7740) x1
Ti (0.5974, 0.4849, 0.0264) x1
Ti (0.6049, 0.7487, 0.2787) x1
Ti (0.6820, 0.3945, 0.4299) x1
Ni (0.0968, 0.4930, 0.5284) x1
Ni (0.1833, 0.1611, 0.6665) x1
Ni (0.1830, 0.3921, 0.9238) x1
Ni (0.1926, 0.6394, 0.1880) x1
Ni (0.3802, 0.0525, 0.0948) x1
Ni (0.6008, 0.9970, 0.5239) x1
Ni (0.6815, 0.6415, 0.6702) x1
Ni (0.7217, 0.1462, 0.1926) x1
O (0.0409, 0.2997, 0.4555) x1
O (0.0472, 0.6995, 0.5775) x1
O (0.0582, 0.1862, 0.0825) x1
O (0.0897, 0.7907, 0.9705) x1
O (0.2371, 0.8343, 0.2545) x1
O (0.2472, 0.9276, 0.6482) x1
O (0.2506, 0.4347, 0.1360) x1
O (0.2537, 0.3518, 0.7221) x1
O (0.3813, 0.0423, 0.8710) x1
O (0.3869, 0.6159, 0.8335) x1
O (0.3905, 0.1041, 0.3295) x1
O (0.4116, 0.5369, 0.3783) x1
O (0.5442, 0.6900, 0.0687) x1
O (0.5435, 0.7940, 0.4681) x1
O (0.5503, 0.2083, 0.5610) x1
O (0.5609, 0.3007, 0.9671) x1
O (0.7150, 0.9403, 0.1493) x1
O (0.7273, 0.8445, 0.7326) x1
O (0.7317, 0.4375, 0.6250) x1
O (0.7436, 0.3589, 0.2232) x1
O (0.8707, 0.1275, 0.7982) x1
O (0.8734, 0.6054, 0.3237) x1
O (0.8778, 0.5426, 0.8883) x1
O (0.9222, 0.0384, 0.3887) x1

Computed properties:
magnetic moment = 12.0 μB per cell

MgTi8Ni8O24 after structural relaxation, computed with GGA+U.

a = 5.6350 Å, b = 9.0673 Å, c = 9.0908 Å
α = 68.37°, β = 84.24°, γ = 84.22°
Space group P1 (No. 1)
Asymmetric unit:
Mg (0.0000, 0.0000, 0.0000) x1
Ti (0.3853, 0.2528, 0.7429) x1
Ti (0.4054, 0.7375, 0.2391) x1
Ti (0.5703, 0.1423, 0.1561) x1
Ti (0.8230, 0.0904, 0.5842) x1
Ti (0.8225, 0.5815, 0.0893) x1
Ti (0.9091, 0.4893, 0.4864) x1
Ti (0.9161, 0.7297, 0.7237) x1
Ti (0.9569, 0.2345, 0.2430) x1
Ni (0.2826, 0.8237, 0.8327) x1
Ni (0.3265, 0.5878, 0.5882) x1
Ni (0.3337, 0.3436, 0.3438) x1
Ni (0.4133, 0.9806, 0.5028) x1
Ni (0.4161, 0.4931, 0.9844) x1
Ni (0.6240, 0.9163, 0.9189) x1
Ni (0.8098, 0.3393, 0.8319) x1
Ni (0.8160, 0.8315, 0.3414) x1
O (0.0916, 0.6234, 0.9404) x1
O (0.1116, 0.1326, 0.4522) x1
O (0.1196, 0.2076, 0.8653) x1
O (0.1313, 0.6890, 0.3731) x1
O (0.2431, 0.7863, 0.6363) x1
O (0.2629, 0.3811, 0.5469) x1
O (0.2889, 0.2822, 0.1456) x1
O (0.2996, 0.8621, 0.0404) x1
O (0.4669, 0.4316, 0.7909) x1
O (0.4687, 0.9408, 0.2874) x1
O (0.4733, 0.0460, 0.7068) x1
O (0.4755, 0.5486, 0.1917) x1
O (0.6313, 0.6979, 0.8801) x1
O (0.6319, 0.1270, 0.9527) x1
O (0.6321, 0.1850, 0.3758) x1
O (0.6320, 0.6280, 0.4363) x1
O (0.7632, 0.3684, 0.0547) x1
O (0.7650, 0.8812, 0.5499) x1
O (0.7711, 0.2897, 0.6159) x1
O (0.7768, 0.7827, 0.1259) x1
O (0.9216, 0.0484, 0.1990) x1
O (0.9448, 0.9471, 0.7865) x1
O (0.9461, 0.5457, 0.6797) x1
O (0.9683, 0.4478, 0.2857) x1

Computed properties:
magnetic moment = 10.0 μB per cell

MgTi8Ni8O24 after structural relaxation, computed with GGA+U.

a = 5.6324 Å, b = 9.0714 Å, c = 9.1003 Å
α = 68.38°, β = 84.40°, γ = 83.99°
Space group P1 (No. 1)
Asymmetric unit:
Mg (0.0000, 0.0000, 0.0000) x1
Ti (0.3437, 0.5918, 0.5770) x1
Ti (0.4017, 0.2354, 0.7471) x1
Ti (0.5730, 0.1569, 0.1476) x1
Ti (0.8032, 0.5900, 0.0986) x1
Ti (0.8244, 0.0939, 0.5944) x1
Ti (0.8307, 0.8362, 0.3385) x1
Ti (0.9044, 0.7288, 0.7379) x1
Ti (0.9662, 0.2527, 0.2310) x1
Ni (0.2963, 0.8287, 0.8263) x1
Ni (0.3381, 0.3440, 0.3512) x1
Ni (0.4084, 0.7407, 0.2418) x1
Ni (0.4097, 0.5006, 0.9808) x1
Ni (0.4153, 0.9881, 0.4977) x1
Ni (0.6310, 0.9212, 0.9208) x1
Ni (0.8160, 0.3458, 0.8315) x1
Ni (0.9263, 0.4853, 0.4906) x1
O (0.0927, 0.9442, 0.6313) x1
O (0.0983, 0.8690, 0.2168) x1
O (0.1036, 0.4534, 0.1278) x1
O (0.1367, 0.3753, 0.6983) x1
O (0.2525, 0.6341, 0.7719) x1
O (0.2678, 0.5384, 0.3992) x1
O (0.2927, 0.1484, 0.2864) x1
O (0.2981, 0.0388, 0.8668) x1
O (0.4685, 0.7822, 0.4513) x1
O (0.4698, 0.2848, 0.9441) x1
O (0.4717, 0.6959, 0.0360) x1
O (0.4788, 0.1880, 0.5548) x1
O (0.6086, 0.4463, 0.6339) x1
O (0.6304, 0.3785, 0.1869) x1
O (0.6307, 0.9509, 0.1443) x1
O (0.6340, 0.8793, 0.6841) x1
O (0.7677, 0.5506, 0.8766) x1
O (0.7699, 0.0451, 0.3668) x1
O (0.7718, 0.6384, 0.2829) x1
O (0.7879, 0.1357, 0.7818) x1
O (0.9200, 0.1990, 0.0521) x1
O (0.9526, 0.7803, 0.9439) x1
O (0.9582, 0.2765, 0.4458) x1
O (0.9578, 0.6937, 0.5404) x1

Computed properties:
magnetic moment = 9.3 μB per cell

MgTi8Ni8O24 after structural relaxation, computed with GGA+U.

a = 5.5741 Å, b = 9.0529 Å, c = 9.1507 Å
α = 68.03°, β = 83.96°, γ = 84.37°
Space group P1 (No. 1)
Asymmetric unit:
Mg (0.0000, 0.0000, 0.0000) x1
Ti (0.0056, 0.7594, 0.7386) x1
Ti (0.4114, 0.1162, 0.0939) x1
Ti (0.4262, 0.3635, 0.3288) x1
Ti (0.4276, 0.6031, 0.6023) x1
Ti (0.5086, 0.7629, 0.2330) x1
Ti (0.5670, 0.2548, 0.7552) x1
Ti (0.8992, 0.1126, 0.5593) x1
Ti (0.9352, 0.6068, 0.0969) x1
Ni (0.0166, 0.2564, 0.2346) x1
Ni (0.0224, 0.5096, 0.4909) x1
Ni (0.2252, 0.1687, 0.6779) x1
Ni (0.4232, 0.8522, 0.8452) x1
Ni (0.5110, 0.9957, 0.4853) x1
Ni (0.5295, 0.5121, 0.9889) x1
Ni (0.9157, 0.8499, 0.3453) x1
Ni (0.9465, 0.3620, 0.8483) x1
O (0.0533, 0.3057, 0.4389) x1
O (0.0660, 0.7969, 0.9465) x1
O (0.0729, 0.7043, 0.5565) x1
O (0.0868, 0.2014, 0.0408) x1
O (0.1983, 0.9633, 0.6354) x1
O (0.2188, 0.4685, 0.1397) x1
O (0.2304, 0.8969, 0.1957) x1
O (0.2495, 0.3963, 0.6936) x1
O (0.3764, 0.6546, 0.7814) x1
O (0.3807, 0.5550, 0.3820) x1
O (0.3822, 0.1605, 0.2831) x1
O (0.4115, 0.0623, 0.8908) x1
O (0.5572, 0.2170, 0.5398) x1
O (0.5574, 0.7873, 0.4480) x1
O (0.5742, 0.7121, 0.0507) x1
O (0.5789, 0.2972, 0.9522) x1
O (0.6929, 0.9573, 0.1475) x1
O (0.7127, 0.4077, 0.1959) x1
O (0.7164, 0.4653, 0.6431) x1
O (0.7272, 0.8971, 0.6919) x1
O (0.8677, 0.0512, 0.3887) x1
O (0.8758, 0.6537, 0.2804) x1
O (0.8847, 0.5671, 0.8894) x1
O (0.8870, 0.1486, 0.7794) x1

Computed properties:
magnetic moment = 0.2 μB per cell

For the records above, the corresponding relative energy among the computed polymorphs values read 0.030, 0.011, 0.053, 0.004, 0.053, 0.011 eV/atom.
For the records above, the corresponding ΔE_f values read -2.454, -2.473, -2.431, -2.480, -2.431, -2.473 eV per atom.